Entry from the Materials Project: CaNiSbP2O9 after structural relaxation (PBE with a Hubbard U).

Cell: 14.703 6.679 7.409 Å, 90.00 90.00 90.00°
Space group Pnma (No. 62)
One atom of each set of equivalent atoms:
Ca 0.207 0.250 0.102 [4 per cell]
Ni 0.000 0.000 0.000 [4 per cell]
Sb 0.119 0.250 0.645 [4 per cell]
P 0.074 0.750 0.642 [4 per cell]
P 0.184 0.750 0.111 [4 per cell]
O 0.015 0.750 0.471 [4 per cell]
O 0.019 0.750 0.818 [4 per cell]
O 0.066 0.250 0.886 [4 per cell]
O 0.127 0.556 0.114 [8 per cell]
O 0.142 0.569 0.634 [8 per cell]
O 0.245 0.250 0.450 [4 per cell]
O 0.250 0.250 0.781 [4 per cell]

Values from the calculation:
formation enthalpy at 0 K = -2.471 eV/atom
density = 3893 kg/m3
V = 12.99 A^3/atom